Entry from the Materials Project database: a relaxed structure of Sr6La4Zn3Ru2O20 (PBE-GGA).

POSCAR file:
```
Sr6La4Zn3Ru2O20
1.0
5.646 0.000 0.000
2.817 6.351 0.000
2.808 0.033 14.021
Sr La Zn Ru O
6 4 3 2 20
direct
0.000 0.000 0.000
0.076 0.435 0.395
0.475 0.434 0.596
0.595 0.006 0.795
0.794 0.008 0.395
0.873 0.436 0.798
0.222 0.008 0.596
0.242 0.443 0.002
0.422 0.999 0.185
0.661 0.442 0.186
0.030 0.733 0.195
0.629 0.728 0.995
0.842 0.713 0.595
0.235 0.720 0.795
0.436 0.719 0.395
0.018 0.364 0.594
0.042 0.723 0.696
0.079 0.042 0.788
0.142 0.725 0.494
0.239 0.358 0.189
0.242 0.722 0.296
0.274 0.041 0.396
0.339 0.716 0.097
0.392 0.401 0.800
0.428 0.720 0.894
0.448 0.082 0.004
0.532 0.716 0.698
0.598 0.402 0.392
0.624 0.057 0.595
0.632 0.720 0.492
0.728 0.718 0.296
0.822 0.082 0.198
0.832 0.717 0.098
0.841 0.377 0.002
0.938 0.725 0.892
```

Computed properties:
* E: -234.944 eV per cell
* magnetic moment: 6.005 Bohr magnetons per cell
* energy of formation from the pure elements: -97.52 eV per formula unit